This record from the Materials Project describes a relaxed structure of Na4SrSi3O9. The functional is GGA-PBE.

Structure (extended XYZ):
```
17
Lattice="-5.558 1.631 -3.381 3.645 -4.311 -3.621 -1.679 -2.837 5.841" Properties=species:S:1:pos:R:3 pbc="T T T"
Na -1.796 -2.758 -0.581
Na 1.133 -3.615 0.844
Na -3.509 -0.729 1.489
Na -1.215 -1.173 -3.494
Sr 0.000 0.000 0.000
Si -6.060 -0.005 -0.469
Si 0.671 -3.441 -4.965
Si 0.001 -4.828 3.692
O 1.261 -2.772 -3.559
O 0.676 -2.327 -0.960
O -3.999 -3.500 0.439
O -2.839 -3.585 -2.742
O -1.392 -1.519 1.597
O -1.085 -5.125 -0.278
O -4.553 0.474 -0.993
O -0.300 -3.218 3.390
O -2.063 -0.422 -1.536
```

Computed properties:
ΔE_f   -2870 meV per atom
Energy above the most stable polymorph in this dataset   7.4 meV per atom
Spin magnetization   0.000 μB/f.u.
Space group   P1 (1)
DFT total energy   -6.494 eV per atom

This record from the Materials Project describes a relaxed structure of Na4SrSi3O9. The functional is GGA-PBE.

Structure (extended XYZ):
```
17
Lattice="5.472 3.873 0.000 -5.472 3.873 0.000 0.000 3.855 5.461" Properties=species:S:1:pos:R:3 pbc="T T T"
Na 0.041 3.873 0.000
Na 5.210 5.801 2.730
Na 2.912 5.610 0.142
Na 2.912 5.992 5.319
Sr 0.046 5.801 2.730
Si -2.903 7.456 2.923
Si -5.042 3.873 0.000
Si -2.903 4.145 2.538
O -4.001 3.923 1.303
O -1.423 3.736 2.041
O 1.896 7.326 3.831
O -1.423 7.866 3.420
O 1.896 4.276 1.630
O -0.357 5.256 5.309
O -4.001 7.678 4.158
O -2.878 5.801 2.730
O -0.357 6.345 0.151
```

Computed properties:
Maximum piezoelectric response   1.558 C/m²
ΔE_f   -2877 meV per atom
Energy above the most stable polymorph in this dataset   0.0 meV per atom
Spin magnetization   0.000 μB/f.u.
Space group   C2 (5)
DFT total energy   -6.501 eV per atom

This record from the Materials Project describes a relaxed structure of Na4SrSi3O9. The functional is GGA-PBE.

Structure (extended XYZ):
```
17
Lattice="0.003 0.000 6.694 6.324 0.000 -2.226 -3.163 5.467 -2.234" Properties=species:S:1:pos:R:3 pbc="T T T"
Na 0.000 5.426 0.000
Na 0.001 0.270 3.347
Na 1.330 2.554 1.116
Na -1.327 2.554 5.578
Sr 0.001 5.415 3.347
Si 3.163 5.038 2.234
Si 4.403 2.900 0.000
Si 1.921 2.900 -2.227
O 3.871 3.996 1.138
O 2.455 3.996 3.330
O 5.093 0.362 3.791
O 1.234 0.362 0.677
O 4.457 1.418 0.633
O 1.869 1.418 3.835
O -0.606 3.575 1.577
O 0.606 3.575 -1.577
O 3.162 2.877 -1.113
```

Computed properties:
ΔE_f   -2877 meV per atom
Energy above the most stable polymorph in this dataset   0.2 meV per atom
Spin magnetization   0.000 μB/f.u.
Space group   C2 (5)
DFT total energy   -6.501 eV per atom

This record from the Materials Project describes a relaxed structure of Na3TaTiSi3O12. The functional is GGA-PBE.

Structure (extended XYZ):
```
80
Lattice="-7.673 13.015 4.111 -7.670 -3.550 -3.077 1.198 -7.168 5.283" Properties=species:S:1:pos:R:3 pbc="T T T"
Na -6.311 -6.429 4.024
Na -11.093 3.502 3.299
Na -6.313 1.854 7.618
Na -3.421 -1.230 2.782
Na -3.844 0.743 5.611
Na -10.296 1.617 0.621
Na -11.516 5.475 6.128
Na -10.297 9.900 4.216
Na -8.385 -2.915 -0.620
Na -0.937 -3.329 4.770
Na -8.387 5.367 2.975
Na -8.608 1.404 5.287
Ta -11.511 2.264 6.273
Ta -8.222 7.648 5.191
Ta -3.840 -2.468 5.755
Ta -8.221 -0.635 1.597
Ti -5.885 -5.334 1.106
Ti -2.649 0.024 0.003
Ti -5.887 2.948 4.700
Ti -10.321 4.757 0.520
Si -6.460 -8.822 1.046
Si -0.006 -1.974 1.234
Si -6.461 -0.540 4.640
Si -7.677 2.759 1.751
Si -8.620 -3.965 2.738
Si -10.901 -0.164 3.835
Si -5.443 6.224 3.623
Si -3.281 2.367 2.479
Si -8.622 4.318 6.333
Si -3.230 -4.896 3.318
Si -5.441 -2.059 0.029
Si -10.953 7.100 2.996
O -4.644 -5.434 2.755
O -9.985 3.544 5.773
O -9.486 7.636 3.572
O -4.109 -1.325 0.568
O -4.645 2.849 6.349
O -2.313 -1.188 5.256
O -9.484 -0.646 -0.022
O -11.780 3.408 1.085
O -7.025 -0.526 3.083
O -7.565 -1.308 5.564
O -7.197 2.723 3.310
O -6.522 3.567 0.883
O -7.026 7.756 6.677
O 0.107 -6.041 5.047
O -7.196 -5.560 -0.284
O -14.193 8.300 1.401
O -7.364 -4.956 2.447
O -10.978 1.313 4.566
O -6.828 7.094 3.829
O -3.014 0.918 1.790
O -7.366 3.327 6.041
O -3.306 -3.420 4.049
O -6.827 -1.188 0.235
O -10.686 5.651 2.308
O -8.602 -2.552 1.868
O -10.276 -1.267 4.882
O -5.595 4.760 4.358
O -3.733 3.563 1.420
O -8.603 5.731 5.462
O -2.604 -6.000 4.365
O -5.593 -3.522 0.764
O -11.404 8.295 1.937
O -8.776 -3.620 4.329
O -9.788 -0.007 2.619
O -5.345 5.911 2.000
O -4.370 2.280 3.695
O -8.778 4.662 7.923
O -2.117 -4.739 2.101
O -5.343 -2.371 -1.594
O -12.041 7.013 4.212
O -6.290 -7.319 1.645
O -12.644 3.481 5.136
O -7.863 9.554 4.652
O -1.444 -1.215 1.187
O -6.291 0.964 5.239
O -4.972 -1.252 4.619
O -7.862 1.272 1.058
O -9.116 3.518 1.705
```

Computed properties:
ΔE_f   -3079 meV per atom
Spin magnetization   0.000 μB/f.u.
DFT total energy   -7.635 eV per atom

This record from the Materials Project describes a relaxed structure of Na3TaTiSi3O12. The functional is GGA-PBE.

Structure (extended XYZ):
```
120
Lattice="9.011 0.002 -0.012 -4.503 7.800 0.000 -0.032 -0.018 22.109" Properties=species:S:1:pos:R:3 pbc="T T T"
Na 4.510 7.526 10.934
Na 8.757 0.134 21.988
Na 4.454 2.608 18.307
Na 4.501 2.562 7.253
Na -0.019 5.167 3.574
Na -0.053 5.191 14.628
Na 1.698 2.883 5.458
Na 6.115 4.884 5.424
Na 7.272 2.844 16.478
Na 3.330 0.020 16.513
Na 1.125 2.644 12.781
Na 1.626 7.494 12.820
Na -1.635 7.462 1.727
Na 2.815 5.470 1.765
Na 5.639 5.265 20.194
Na 1.629 2.264 20.174
Na 7.395 2.260 9.140
Na 2.791 0.287 9.120
Ta 4.492 7.773 14.227
Ta 8.994 0.013 3.172
Ta 4.502 2.551 21.599
Ta 4.476 2.633 10.544
Ta 0.012 5.214 6.864
Ta 0.002 5.195 17.919
Ti 4.464 7.768 7.827
Ti 4.440 7.773 18.881
Ti 4.460 2.643 15.204
Ti 4.534 2.550 4.149
Ti -0.008 5.146 0.467
Ti -0.066 5.211 11.521
Si 2.602 0.022 5.562
Si 3.193 5.562 5.503
Si 7.664 2.221 5.588
Si 1.305 2.234 16.616
Si 5.740 5.517 16.642
Si 1.895 7.775 16.558
Si 7.076 2.643 12.928
Si 3.202 0.325 12.930
Si 3.193 4.844 12.908
Si 5.843 4.816 1.874
Si 5.808 0.352 1.854
Si 1.898 2.620 1.876
Si 2.561 5.253 20.346
Si -1.328 2.929 20.234
Si -1.316 7.440 20.294
Si 1.342 7.401 9.292
Si 1.297 2.950 9.239
Si -2.615 5.195 9.180
O 1.648 0.210 6.877
O 3.835 6.416 6.744
O 8.031 1.426 6.961
O 0.989 1.313 17.932
O 5.235 6.233 18.015
O 7.459 0.104 17.798
O 2.767 7.641 15.169
O 0.611 1.520 15.287
O -3.627 6.512 15.379
O 3.513 6.385 4.115
O -0.661 1.412 4.325
O -2.866 7.578 4.232
O 6.164 2.720 14.273
O 3.824 1.056 14.252
O 3.577 3.881 14.177
O 5.453 3.988 3.219
O 5.165 1.166 3.123
O 2.842 2.793 3.198
O 2.869 2.419 0.547
O 5.169 4.106 0.544
O 5.458 1.249 0.513
O 3.514 1.266 11.601
O 3.794 4.093 11.568
O 6.125 2.415 11.598
O 1.691 5.363 21.716
O -0.654 3.751 21.492
O -0.939 6.544 21.609
O 1.002 6.592 10.662
O 0.710 3.724 10.555
O -1.566 5.367 10.437
O -1.703 4.965 7.824
O 0.624 6.619 8.019
O 0.930 3.807 7.876
O -1.071 3.834 18.879
O -0.757 6.692 18.930
O 1.526 5.022 19.074
O -3.515 6.538 9.102
O 2.943 7.631 9.135
O 0.636 1.452 9.209
O -0.615 1.478 20.156
O -2.944 7.616 20.263
O 3.561 6.524 20.190
O 8.021 1.269 12.956
O 1.553 0.263 12.998
O 3.876 6.340 12.962
O 5.125 6.322 1.902
O 7.444 0.196 1.908
O 1.020 1.222 1.944
O 5.446 1.298 16.559
O 2.918 2.351 16.490
O 5.147 4.011 16.507
O 3.863 4.077 5.504
O 6.063 2.461 5.453
O 3.510 1.361 5.436
O 3.482 3.864 20.352
O 6.047 2.880 20.348
O 3.835 1.161 20.313
O 5.103 1.092 9.298
O 2.939 2.750 9.258
O 5.534 3.806 9.294
O 0.966 3.945 1.767
O -1.560 5.052 1.762
O 0.618 6.676 1.815
O -0.620 6.655 12.821
O 1.571 4.988 12.870
O -0.923 3.914 12.816
O -1.015 6.436 5.632
O 1.557 5.387 5.609
O -0.596 3.708 5.567
O 0.547 3.694 16.686
O -1.606 5.421 16.621
O 0.924 6.446 16.663
```

Computed properties:
ΔE_f   -3080 meV per atom
Spin magnetization   0.000 μB/f.u.
Space group   Cc (9)
DFT total energy   -7.636 eV per atom

This record from the Materials Project describes a relaxed structure of Na6YTa3Si6O24. The functional is GGA-PBE.

Structure (extended XYZ):
```
120
Lattice="-4.057 -2.798 7.722 -0.847 -4.954 -7.656 18.452 -11.604 5.474" Properties=species:S:1:pos:R:3 pbc="T T T"
Na 9.225 -5.859 2.818
Na 13.566 -19.231 5.517
Na 12.421 -13.199 7.175
Na 3.004 -7.280 4.377
Na 0.992 -6.154 -1.522
Na 10.425 -11.829 1.108
Na 1.880 -4.719 6.186
Na 2.699 -5.628 1.475
Na -0.029 -8.699 4.141
Na 10.699 -13.512 4.198
Na 9.472 -13.258 8.909
Na 12.246 -9.796 6.958
Na 7.315 -13.479 0.886
Na -0.593 -6.648 -4.610
Na 1.113 -2.700 -1.965
Na 3.472 -8.920 7.503
Na 6.281 -5.877 4.505
Na 4.181 -10.149 2.573
Y 2.464 -6.897 9.655
Y 9.634 -11.474 6.327
Y 0.247 -5.552 3.526
Ta 15.844 -9.969 4.699
Ta 11.034 -12.441 -4.100
Ta -2.197 -9.426 0.866
Ta 15.067 -14.880 7.949
Ta 5.929 -9.128 5.228
Ta -1.654 -4.414 -2.428
Ta 7.731 -10.269 0.332
Ta 3.827 -7.844 -0.829
Ta 13.098 -13.682 1.928
Si 2.587 -8.682 -3.969
Si 1.211 -8.382 1.394
Si 4.357 -4.406 -0.890
Si 12.502 -10.941 4.068
Si 13.249 -12.320 -1.323
Si 10.142 -15.621 2.008
Si 6.601 -11.148 8.125
Si 9.266 -7.980 5.757
Si 7.549 -11.804 3.513
Si -2.956 -6.796 3.060
Si -1.211 -2.965 5.354
Si -0.241 -3.646 0.709
Si 13.779 -15.647 4.767
Si 16.429 -12.583 2.423
Si 14.717 -16.341 0.246
Si 4.411 -11.342 -0.310
Si 5.972 -7.715 2.013
Si 6.992 -8.204 -2.427
O 4.839 -4.383 3.244
O 1.906 -9.716 1.972
O 1.644 -7.330 7.715
O 14.064 -10.751 4.500
O 10.221 -16.244 5.826
O 11.536 -11.728 10.781
O 8.668 -15.055 2.536
O 11.977 -9.446 3.563
O 11.979 -12.273 -2.397
O -0.379 -8.709 0.958
O 3.307 -3.274 -0.230
O 2.058 -7.570 -5.110
O 7.975 -11.848 7.702
O 9.848 -9.295 6.476
O 8.918 -11.925 4.328
O -1.518 -6.835 3.791
O 0.079 -3.818 4.887
O 0.549 -4.808 1.490
O -1.610 -3.208 1.529
O -3.294 -5.256 2.587
O -2.416 -3.154 4.234
O 7.673 -8.257 5.282
O 6.513 -10.662 4.189
O 6.140 -9.997 6.971
O 15.204 -16.083 4.096
O 16.920 -14.067 2.893
O 15.961 -16.337 1.303
O 5.966 -11.145 0.095
O 6.929 -8.868 1.400
O 7.491 -9.247 -1.294
O 5.502 -7.653 -1.883
O 3.853 -9.830 -0.791
O 4.675 -7.615 0.955
O 14.838 -12.781 1.949
O 13.621 -15.235 0.858
O 13.179 -14.507 3.704
O 6.981 -8.985 -3.837
O 3.661 -11.991 0.964
O 6.843 -6.367 2.175
O 16.585 -11.553 3.687
O 15.299 -15.914 -1.224
O 12.820 -16.965 4.895
O 6.779 -10.268 9.504
O 10.089 -7.475 4.443
O 6.724 -13.225 3.422
O -3.059 -7.855 1.795
O -1.807 -3.527 6.789
O 0.743 -2.296 0.654
O 10.952 -11.431 8.241
O 11.716 -11.540 5.342
O 10.009 -13.734 6.543
O 1.343 -7.276 2.551
O 0.784 -6.839 5.343
O 2.422 -4.956 3.914
O 14.042 -14.956 6.226
O 13.277 -14.867 8.879
O 14.878 -12.872 7.845
O 5.119 -7.381 6.029
O 5.355 -8.206 3.465
O 3.932 -9.686 5.241
O -0.432 -4.163 -0.840
O 0.081 -4.564 -3.494
O -1.483 -6.391 -2.194
O 8.464 -11.797 -0.714
O 7.950 -11.422 1.958
O 9.528 -9.519 0.592
O 2.796 -7.790 -2.573
O 1.959 -7.908 -0.018
O 3.505 -5.841 -0.845
O 12.341 -11.937 2.741
O 12.588 -12.778 0.137
O 11.122 -14.271 1.912
```

Computed properties:
ΔE_f   -3098 meV per atom
Energy above the most stable polymorph in this dataset   6.5 meV per atom
Spin magnetization   0.000 μB/f.u.
Space group   P1 (1)
DFT total energy   -7.718 eV per atom